[1]
Density functional theory data (PBE) for a relaxed TmAgGe crystal.

extended XYZ file:
```
9
Lattice="-6.974 -1.470 -0.035 4.684 -4.992 1.986 -0.294 1.299 3.958" Properties=species:S:1:pos:R:3 pbc="T T T"
Ge 0.798 -3.818 1.313
Ge -0.147 0.650 1.979
Ge -3.088 -2.644 0.639
Tm -4.212 -0.207 1.958
Tm 2.583 -2.260 3.137
Tm -1.102 -2.046 2.793
Ag 1.178 -1.256 0.500
Ag -1.714 -4.836 1.460
Ag -1.754 -0.370 -0.009
```

Summary:
As for the space-group type: P-62m (189). The value obtained for the formation energy from the elements is -0.633 eV per atom.

[2]
Density functional theory data (PBE) for a relaxed YAgGe crystal.

extended XYZ file:
```
9
Lattice="-2.687 6.702 0.290 -3.895 -5.564 2.469 1.685 0.511 3.810" Properties=species:S:1:pos:R:3 pbc="T T T"
Ag 0.164 1.949 1.978
Ag -4.075 1.106 3.967
Ag -0.141 -1.151 2.529
Y -2.724 0.471 1.142
Y -1.575 3.928 0.170
Y -2.283 -3.261 1.447
Ge -2.247 2.869 2.921
Ge 0.000 0.000 0.000
Ge -2.649 -1.220 3.647
```

Summary:
As for the space-group type: P-62m (189). The value obtained for the formation energy from the elements is -0.668 eV per atom.

[3]
Density functional theory data (PBE) for a relaxed Y3Ag4Ge4 crystal.

extended XYZ file:
```
11
Lattice="-1.148 3.598 -2.156 -5.638 -3.461 -2.772 -0.661 2.018 8.105" Properties=species:S:1:pos:R:3 pbc="T T T"
Ge -1.758 0.905 2.446
Ge -2.369 0.697 -1.960
Ge -4.418 -0.560 -2.968
Ge -5.689 1.250 0.731
Y -3.841 -1.204 0.036
Y -3.606 3.359 3.141
Y 0.000 0.000 0.000
Ag -3.054 1.823 0.284
Ag -0.973 2.430 4.574
Ag -4.393 0.331 2.893
Ag -6.474 -0.276 -1.397
```

Summary:
As for the space-group type: Immm (71). The value obtained for the formation energy from the elements is -0.534 eV per atom.

[4]
Density functional theory data (PBE) for a relaxed AgH crystal.

extended XYZ file:
```
4
Lattice="1.611 -2.791 0.000 1.611 2.791 0.000 0.000 0.000 5.182" Properties=species:S:1:pos:R:3 pbc="T T T"
Ag 1.611 0.930 5.169
Ag 1.611 -0.930 2.578
H 1.611 -0.930 4.547
H 1.611 0.930 1.956
```

Summary:
As for the space-group type: P6_3mc (186). The value obtained for the formation energy from the elements is 0.121 eV per atom.

[5]
Density functional theory data (PBE) for a relaxed AgH36S8I2N9O12 crystal.

extended XYZ file:
```
136
Lattice="-8.445 -8.492 -4.160 2.579 -5.841 10.953 -4.004 12.002 0.815" Properties=species:S:1:pos:R:3 pbc="T T T"
S -6.354 -0.088 1.423
S -9.085 -4.670 6.781
S -10.330 4.705 -2.422
S -1.740 0.004 1.934
S 0.044 -3.414 9.689
S -3.916 -7.843 7.450
S -8.072 -1.234 -2.478
S -5.215 -4.001 1.777
S -10.052 -1.974 1.108
S -6.285 -4.017 0.050
S -1.913 3.276 9.455
S -7.717 1.202 2.201
S -2.891 5.979 3.789
S -0.681 0.028 3.667
S 1.416 -4.702 8.924
S -6.166 -1.902 7.518
N -10.138 1.135 -1.097
N -4.100 2.541 2.271
N -3.777 -1.208 -0.549
N -3.582 -3.930 9.207
N -5.437 -7.480 0.124
N -8.662 -4.993 -2.226
N -4.308 5.454 7.340
N 0.914 -2.735 5.992
N -2.179 -0.503 7.582
N -5.895 -5.179 5.482
N -1.530 -3.739 1.772
N -0.776 2.924 5.958
N -4.361 -1.041 4.114
N -5.397 1.424 9.318
N -2.933 -7.167 3.397
N -4.336 -10.594 5.021
N 0.129 0.340 10.905
N -8.186 -2.248 3.977
H -5.576 1.210 -1.275
H -4.391 5.622 6.316
H -2.879 6.381 0.873
H -8.902 -5.474 0.827
H -7.032 3.932 3.706
H -4.536 -1.465 -1.211
H -3.652 3.436 2.575
H -4.561 2.047 9.386
H -8.464 -1.286 3.686
H 0.162 -0.690 10.731
H -2.043 0.388 8.099
H -7.336 1.680 5.809
H -0.409 0.825 10.158
H -3.751 -0.173 -0.424
H -3.251 -7.273 4.380
H -0.093 -5.668 7.018
H 0.627 -2.018 5.288
H -4.930 -9.867 4.575
H -9.098 3.565 1.188
H -6.136 1.867 8.746
H -8.998 -2.903 3.976
H -1.821 -3.846 2.765
H -9.584 1.517 -1.894
H -5.081 2.485 2.611
H -10.567 0.213 -1.331
H -4.898 -0.342 3.582
H -3.181 -0.774 7.628
H -5.669 -4.503 6.233
H -2.887 -1.525 -0.981
H -9.253 -4.277 -1.759
H -4.175 -1.832 3.475
H -4.990 -6.759 0.726
H -7.804 -4.538 -2.607
H -3.544 1.760 2.646
H -3.460 -0.636 4.441
H -8.628 -6.290 2.255
H -9.230 -5.382 -3.005
H -2.121 -3.011 1.353
H -1.902 -0.385 6.588
H -4.541 8.519 2.540
H -4.083 2.458 1.240
H -4.600 -10.704 6.007
H -8.478 0.533 5.317
H -1.590 -1.241 8.016
H -5.939 5.126 4.205
H -7.148 1.627 -1.751
H -6.881 -5.448 5.606
H -5.277 -6.012 5.564
H -6.550 -11.079 2.124
H -3.280 -3.827 8.217
H -8.431 -5.755 -1.554
H -1.778 2.647 5.976
H -3.134 8.340 6.359
H -1.195 -6.933 6.912
H -4.944 -1.352 4.925
H -6.052 2.807 -1.230
H -7.349 -7.799 6.780
H -3.522 4.807 7.523
H 0.293 -2.705 6.826
H -5.653 7.369 2.069
H -3.518 -6.449 2.925
H -9.137 -4.678 2.303
H -3.928 -1.704 0.356
H -7.447 -2.600 3.337
H -5.139 0.504 8.905
H -6.465 -7.425 0.222
H -7.767 -2.221 4.928
H -4.358 -4.862 -1.504
H -5.794 -4.732 4.543
H -10.880 1.814 -0.838
H -9.222 4.694 -0.052
H -9.528 1.028 -0.262
O -2.647 -7.291 7.999
O -8.634 0.445 3.117
O -6.140 -3.884 2.937
O -1.791 4.256 8.326
O -4.956 -1.194 8.005
O -1.663 -0.015 4.778
O -4.234 5.849 4.405
O 0.240 -1.141 3.707
O -4.282 -2.825 1.758
O -3.558 1.645 -0.494
O -2.443 4.696 3.181
O -6.363 -1.702 6.057
O -4.100 -7.471 6.027
O -0.594 -2.726 8.541
O -6.063 -3.369 7.815
O -8.327 -7.195 -0.429
O 0.719 -2.448 10.598
O -3.310 3.279 9.968
O -3.920 -9.336 7.601
O -6.962 2.225 2.963
O -2.903 7.053 2.742
O -1.502 1.923 9.006
O -8.509 1.815 1.100
O -4.443 -5.266 1.822
I -5.838 5.084 0.423
I -2.565 -3.832 5.487
I -6.777 -8.086 3.401
I -4.559 2.171 5.906
Ag -7.691 -1.829 0.026
Ag 0.000 0.000 0.000
```

Summary:
As for the space-group type: I-42d (122). The value obtained for the formation energy from the elements is -0.768 eV per atom.

[6]
Density functional theory data (PBE) for a relaxed Ag6H3IO6 crystal.

extended XYZ file:
```
16
Lattice="4.041 -2.463 -2.413 -1.427 -2.786 5.804 -4.219 -4.286 -2.670" Properties=species:S:1:pos:R:3 pbc="T T T"
Ag 0.526 -6.087 0.906
Ag -0.578 -3.722 2.118
Ag -1.027 -5.812 -1.399
Ag -2.821 -5.725 1.335
Ag -2.130 -3.447 -0.186
Ag 1.216 -3.810 -0.616
I 0.000 0.000 0.000
H -2.823 -3.536 1.567
H -0.802 -4.767 0.360
H 2.021 -1.232 -1.207
O 1.361 -1.527 -0.216
O -4.115 -5.850 3.423
O 2.511 -3.685 -2.703
O -0.233 -7.125 -3.168
O -1.372 -2.410 3.887
O -2.965 -8.008 0.936
```

Summary:
As for the space-group type: P-1 (2). The value obtained for the formation energy from the elements is -0.361 eV per atom.

[7]
Density functional theory data (PBE) for a relaxed LiAg2P3H2O10 crystal.

extended XYZ file:
```
36
Lattice="-2.848 -6.464 3.134 5.862 -4.998 0.659 2.415 0.023 8.165" Properties=species:S:1:pos:R:3 pbc="T T T"
O 2.679 -9.887 4.568
O 1.748 -3.858 7.166
O 4.270 -5.842 8.152
O 6.477 -4.553 8.141
O 0.135 -6.622 5.983
O 2.997 -3.285 1.909
O 4.294 -5.477 2.360
O 0.365 -2.115 2.743
O 1.134 -5.963 9.599
O 5.063 -9.325 9.215
O 1.158 -5.598 3.807
O 5.293 -4.818 5.976
O 2.480 -2.547 5.045
O 6.309 -6.857 7.105
O 2.948 -8.892 6.913
O 2.749 -1.552 7.390
O -0.881 -4.583 4.854
O -1.049 -6.886 3.817
O 3.680 -7.582 4.792
O 2.431 -8.154 10.049
H -0.150 -1.501 2.160
H 5.686 -9.160 8.469
H -0.258 -2.280 3.490
H 5.579 -9.938 9.798
Ag 2.126 -6.447 7.225
Ag 3.302 -4.993 4.733
Ag 2.973 -4.197 9.552
Ag 2.455 -7.242 2.406
P 5.478 -5.498 7.310
P 1.304 -7.231 10.407
P -0.050 -5.942 4.649
P 1.910 -2.551 6.434
P 3.518 -8.889 5.524
P 4.124 -4.209 1.552
Li 3.117 -9.445 8.771
Li 2.311 -1.995 3.187
```

Summary:
As for the space-group type: P-1 (2). The value obtained for the formation energy from the elements is -2.046 eV per atom.

[8]
Density functional theory data (PBE) for a relaxed MgAgMoH4S4N crystal.

extended XYZ file:
```
12
Lattice="0.000 0.000 -6.672 -3.825 3.821 -3.336 3.843 3.839 -3.336" Properties=species:S:1:pos:R:3 pbc="T T T"
H -3.056 4.269 -6.052
H -0.450 0.770 -3.807
H 0.469 6.889 -10.478
H 3.074 3.391 -6.052
S -1.547 2.821 -3.609
S 1.008 2.274 -6.377
S -0.990 5.385 -6.377
S 1.566 4.838 -10.280
Mo 0.009 3.830 -4.989
N 0.000 0.000 -3.262
Ag 0.009 3.830 -8.329
Mg 0.000 0.000 -6.625
```

Summary:
As for the space-group type: C2 (5). The value obtained for the formation energy from the elements is -0.548 eV per atom.

[9]
Density functional theory data (PBE) for a relaxed MgAgH4WS4N crystal.

extended XYZ file:
```
12
Lattice="1.854 -4.132 4.489 -6.229 1.358 -0.106 1.339 -2.736 -5.648" Properties=species:S:1:pos:R:3 pbc="T T T"
S -1.244 -1.420 -1.668
S -4.451 -0.403 0.103
S 1.791 -4.868 -1.744
S -2.186 -4.339 0.797
N -2.247 -1.425 2.251
W -3.545 -1.386 -1.775
H -1.343 -3.606 -2.630
H -2.571 -0.985 1.361
H 0.119 -4.154 -3.212
H -2.520 -2.428 2.193
Ag 0.499 -4.130 0.520
Mg -0.036 -0.023 0.036
```

Summary:
As for the space-group type: C2 (5). The value obtained for the formation energy from the elements is -0.500 eV per atom.

[10]
Density functional theory data (PBE) for a relaxed AgMoH4S4N crystal.

extended XYZ file:
```
11
Lattice="-4.130 4.130 2.935 4.130 -4.130 2.935 4.130 4.130 -2.935" Properties=species:S:1:pos:R:3 pbc="T T T"
H 0.812 0.271 3.522
H -0.271 0.812 2.347
H 3.319 3.860 0.587
H 4.401 3.319 -0.587
S 3.175 1.608 3.198
S -1.608 3.175 2.672
S 5.739 0.956 -0.263
S 0.956 2.522 0.263
N 0.000 0.000 2.935
Ag 4.130 0.000 1.467
Mo 0.000 4.130 1.467
```

Summary:
As for the space-group type: I-4 (82). The value obtained for the formation energy from the elements is -0.580 eV per atom.

[11]
Density functional theory data (PBE) for a relaxed Ag3P6H12N3O19 crystal.

extended XYZ file:
```
86
Lattice="6.479 -7.661 0.000 6.479 7.661 0.000 -2.580 0.000 9.696" Properties=species:S:1:pos:R:3 pbc="T T T"
O 5.094 -2.141 4.067
O 8.195 1.534 4.288
O 2.364 -2.465 0.145
O 6.164 3.916 4.070
O 5.285 2.141 5.630
O 8.102 -2.539 9.459
O 6.582 -2.899 6.015
O 6.401 -5.602 0.965
O 3.977 5.602 8.732
O 7.216 -3.027 2.944
O 3.310 0.632 5.976
O 0.156 1.459 6.973
O 11.016 0.073 6.339
O 7.069 -0.632 3.720
O 7.786 0.000 7.275
O 5.611 -1.364 1.740
O 8.015 2.465 9.552
O 5.961 5.975 1.437
O 5.976 5.050 7.269
O 3.163 3.027 6.753
O 7.794 0.890 1.796
O 2.592 0.000 2.422
O 4.418 -5.975 8.260
O 4.402 -5.050 2.428
O 2.277 2.539 0.238
O 4.768 1.364 7.957
O 2.184 -1.534 5.408
O -0.638 -0.073 3.358
O 6.127 3.592 0.582
O 4.537 -1.509 6.430
O 4.215 -3.916 5.627
O 5.842 1.509 3.266
O 11.043 0.373 1.169
O 3.797 2.899 3.682
O 4.251 -3.592 9.115
O 10.223 -1.459 2.723
O -0.664 -0.373 8.527
O 2.585 -0.890 7.901
H 4.952 0.259 1.062
H 2.333 0.399 9.083
H 6.557 -1.309 9.352
H 2.644 -4.169 6.396
H 7.262 -4.568 3.806
H 7.941 2.385 5.944
H 9.745 -1.387 5.940
H 5.427 -0.259 8.635
H 5.447 1.712 0.347
H 3.822 1.309 0.344
H 8.247 -2.126 5.616
H 3.117 4.568 5.890
H 2.181 -2.696 2.099
H 8.197 2.696 7.597
H 2.911 -3.857 3.062
H 2.438 -2.385 3.753
H 8.046 -0.399 0.614
H 7.734 4.169 3.301
H 4.932 -1.712 9.350
H 2.131 2.126 4.080
H 0.633 1.387 3.757
H 7.468 3.857 6.635
H 0.887 2.145 5.228
H 9.492 -2.145 4.468
Ag 4.104 -6.112 4.527
Ag 6.275 6.112 5.170
Ag 8.236 2.618 0.104
Ag 9.370 -3.494 1.857
Ag 1.009 3.494 7.840
Ag 2.143 -2.618 9.592
P 3.031 -0.885 6.463
P -1.083 0.725 7.404
P 5.593 5.688 8.574
P 5.225 2.740 4.115
P 4.736 -4.963 9.492
P 4.107 1.856 6.701
P 6.271 -1.856 2.995
P 5.643 4.963 0.205
P 5.153 -2.740 5.582
P 11.461 -0.725 2.293
P 4.785 -5.688 1.123
P 7.348 0.885 3.233
N 1.103 2.185 4.220
N 2.198 -3.111 3.049
N 4.781 0.925 0.283
N 8.181 3.111 6.648
N 5.597 -0.925 9.414
N 9.275 -2.185 5.477
```

Summary:
As for the space-group type: R-3 (148). The value obtained for the formation energy from the elements is -1.555 eV per atom.